Record 1
Compound: Ta2ReTc
Source: the Materials Project
Functional: PBE
Structure: relaxed

The structure in POSCAR format:
```
Ta2ReTc
1.0
0.000 3.198 3.198
3.198 0.000 3.198
3.198 3.198 0.000
Ta Re Tc
2 1 1
Direct
0.750 0.750 0.750
0.250 0.250 0.250
0.500 0.500 0.500
0.000 0.000 0.000
```

Results
* DFT formation energy: -0.4642 eV/atom
* space-group type: Fm-3m
* E: -12.09 eV/atom

Record 2
Compound: Ta2TiRe
Source: the Materials Project
Functional: PBE
Structure: relaxed

The structure in POSCAR format:
```
Ta2TiRe
1.0
2.039 -2.375 -3.319
0.830 -4.451 0.559
-2.371 -3.081 -2.388
Ta Ti Re
2 1 1
Direct
0.250 0.250 0.250
0.750 0.750 0.750
0.000 0.000 0.000
0.500 0.500 0.500
```

Results
* DFT formation energy: -0.2269 eV/atom
* space-group type: Fm-3m
* E: -11.24 eV/atom

Record 3
Compound: Ta2VRe
Source: the Materials Project
Functional: PBE
Structure: relaxed

The structure in POSCAR format:
```
Ta2VRe
1.0
0.000 3.184 3.184
3.184 0.000 3.184
3.184 3.184 0.000
Ta Re V
2 1 1
Direct
0.750 0.750 0.750
0.250 0.250 0.250
0.500 0.500 0.500
0.000 0.000 0.000
```

Results
* DFT formation energy: -0.2617 eV/atom
* space-group type: Fm-3m
* E: -11.57 eV/atom

Record 4
Compound: Ta2ReW
Source: the Materials Project
Functional: PBE
Structure: relaxed

The structure in POSCAR format:
```
Ta2ReW
1.0
0.000 3.225 3.225
3.225 0.000 3.225
3.225 3.225 0.000
Ta Re W
2 1 1
Direct
0.250 0.250 0.250
0.750 0.750 0.750
0.500 0.500 0.500
0.000 0.000 0.000
```

Results
* DFT formation energy: -0.2779 eV/atom
* space-group type: Fm-3m
* E: -12.56 eV/atom